! La2Fe14B | the Materials Project database | PBE | optimized geometry; values from VASP
&SYSTEM
  ibrav = 0, nat = 68, ntyp = 3
/
ATOMIC_SPECIES
Fe 55.84 Fe.upf
La 138.91 La.upf
B 10.81 B.upf
ATOMIC_POSITIONS crystal
Fe 0.932 0.725 0.628
Fe 0.182 0.818 0.746
Fe 0.000 0.000 0.387
Fe 0.861 0.463 0.323
Fe 0.537 0.139 0.677
Fe 0.902 0.902 0.792
Fe 0.537 0.139 0.323
Fe 0.000 0.500 0.500
Fe 0.500 0.000 0.000
Fe 0.361 0.037 0.177
Fe 0.139 0.537 0.323
Fe 0.818 0.182 0.254
Fe 0.432 0.775 0.872
Fe 0.639 0.963 0.177
Fe 0.402 0.598 0.292
Fe 0.500 0.500 0.113
Fe 0.037 0.361 0.823
Fe 0.463 0.861 0.677
Fe 0.963 0.639 0.177
Fe 0.775 0.432 0.872
Fe 0.432 0.775 0.128
Fe 0.963 0.639 0.823
Fe 0.639 0.963 0.823
Fe 0.725 0.932 0.372
Fe 0.861 0.463 0.677
Fe 0.775 0.432 0.128
Fe 0.598 0.402 0.292
Fe 0.500 0.500 0.887
Fe 0.139 0.537 0.677
Fe 0.902 0.902 0.208
Fe 0.463 0.861 0.323
Fe 0.682 0.682 0.754
Fe 0.225 0.568 0.128
Fe 0.068 0.275 0.628
Fe 0.318 0.318 0.754
Fe 0.037 0.361 0.177
Fe 0.682 0.682 0.246
Fe 0.500 0.000 0.500
Fe 0.932 0.725 0.372
Fe 0.318 0.318 0.246
Fe 0.402 0.598 0.708
Fe 0.275 0.068 0.628
Fe 0.818 0.182 0.746
Fe 0.182 0.818 0.254
Fe 0.275 0.068 0.372
Fe 0.225 0.568 0.872
Fe 0.000 0.000 0.613
Fe 0.098 0.098 0.792
Fe 0.068 0.275 0.372
Fe 0.725 0.932 0.628
Fe 0.000 0.500 0.000
Fe 0.098 0.098 0.208
Fe 0.598 0.402 0.708
Fe 0.568 0.225 0.128
Fe 0.361 0.037 0.823
Fe 0.568 0.225 0.872
La 0.731 0.731 0.000
La 0.231 0.769 0.500
La 0.269 0.269 0.000
La 0.359 0.359 0.500
La 0.641 0.641 0.500
La 0.859 0.141 0.000
La 0.769 0.231 0.500
La 0.141 0.859 0.000
B 0.123 0.123 0.500
B 0.623 0.377 0.000
B 0.877 0.877 0.500
B 0.377 0.623 0.000
CELL_PARAMETERS angstrom
8.790 0.000 0.000
0.000 8.790 0.000
0.000 0.000 12.262
! - SG = No. 136
! - raw total energy (eV/cell) = -542.86
! - ΔE_f (eV/atom) = -0.034

! LaFe12B6 | the Materials Project database | PBE | optimized geometry; values from VASP
&SYSTEM
  ibrav = 0, nat = 19, ntyp = 3
/
ATOMIC_SPECIES
Fe 55.84 Fe.upf
B 10.81 B.upf
La 138.91 La.upf
ATOMIC_POSITIONS crystal
Fe 0.867 0.133 0.500
Fe 0.811 0.541 0.541
Fe 0.541 0.811 0.541
Fe 0.133 0.867 0.500
Fe 0.500 0.867 0.133
Fe 0.500 0.133 0.867
Fe 0.189 0.459 0.459
Fe 0.867 0.500 0.133
Fe 0.541 0.541 0.811
Fe 0.459 0.459 0.189
Fe 0.133 0.500 0.867
Fe 0.459 0.189 0.459
B 0.228 0.679 0.228
B 0.228 0.228 0.679
B 0.772 0.772 0.321
B 0.772 0.321 0.772
B 0.679 0.228 0.228
B 0.321 0.772 0.772
La 0.000 0.000 0.000
CELL_PARAMETERS angstrom
4.797 2.769 2.499
-4.797 2.769 2.499
0.000 -5.539 2.499
! - SG = No. 166
! - raw total energy (eV/cell) = -151.87
! - ΔE_f (eV/atom) = -0.275

! LuFeB4 | the Materials Project database | PBE | optimized geometry; values from VASP
&SYSTEM
  ibrav = 0, nat = 24, ntyp = 3
/
ATOMIC_SPECIES
B 10.81 B.upf
Lu 174.97 Lu.upf
Fe 55.84 Fe.upf
ATOMIC_POSITIONS crystal
B 0.500 0.477 0.191
B 0.500 0.637 0.532
B 0.500 0.363 0.468
B 0.500 0.863 0.032
B 0.500 0.523 0.809
B 0.500 0.888 0.454
B 0.500 0.137 0.968
B 0.500 0.715 0.685
B 0.500 0.977 0.309
B 0.500 0.285 0.315
B 0.500 0.612 0.954
B 0.500 0.023 0.691
B 0.500 0.112 0.546
B 0.500 0.785 0.185
B 0.500 0.388 0.046
B 0.500 0.215 0.815
Lu 0.000 0.128 0.150
Lu 0.000 0.628 0.350
Lu 0.000 0.372 0.650
Lu 0.000 0.872 0.850
Fe 0.000 0.865 0.589
Fe 0.000 0.365 0.911
Fe 0.000 0.635 0.089
Fe 0.000 0.135 0.411
CELL_PARAMETERS angstrom
-3.259 -0.634 -0.128
0.831 -4.889 3.062
-1.497 5.749 9.585
! - SG = No. 55
! - raw total energy (eV/cell) = -174.68
! - ΔE_f (eV/atom) = -0.660